Run P
The following is a GGA+U calculation of a relaxed structure of Na4CrO3, from Materials Project.

Summary:
**Total magnetic moment**: 4.00 μB per formula unit
**SG**: No. 9

```
data_Na4CrO3
_cell_length_a 6.4057
_cell_length_b 6.4057
_cell_length_c 8.2607
_cell_angle_alpha 69.52
_cell_angle_beta 69.52
_cell_angle_gamma 54.23
_symmetry_space_group_name_H-M 'P 1'
_symmetry_Int_Tables_number 1
_symmetry_space_group_name_Hall 'P 1'
loop_
_atom_site_label
_atom_site_type_symbol
_atom_site_fract_x
_atom_site_fract_y
_atom_site_fract_z
O1 O 0.1217 0.0156 0.2946
O2 O 0.6800 0.6937 0.1056
O3 O 0.3500 0.3453 0.8496
O4 O 0.6937 0.6800 0.6056
Cr1 Cr 0.3776 0.6537 0.2509
O5 O 0.3453 0.3500 0.3496
Na1 Na 0.9656 0.2783 0.0321
O6 O 0.0156 0.1217 0.7946
Cr2 Cr 0.6537 0.3776 0.7509
Na2 Na 0.1267 0.4401 0.6380
Na3 Na 0.4401 0.1267 0.1380
Na4 Na 0.4850 0.9092 0.8443
Na5 Na 0.0290 0.7435 0.9372
Na6 Na 0.7435 0.0290 0.4372
Na7 Na 0.9092 0.4850 0.3443
Na8 Na 0.2783 0.9656 0.5321
```

=====

Run Q
The following is a GGA+U calculation of a relaxed structure of Na4CrO3, from Materials Project.

Summary:
**Total magnetic moment**: 2.09 μB per formula unit
**SG**: No. 9

```
data_Na4CrO3
_cell_length_a 5.8323
_cell_length_b 6.1757
_cell_length_c 8.8216
_cell_angle_alpha 66.94
_cell_angle_beta 90.00
_cell_angle_gamma 61.82
_symmetry_space_group_name_H-M 'P 1'
_symmetry_Int_Tables_number 1
_symmetry_space_group_name_Hall 'P 1'
loop_
_atom_site_label
_atom_site_type_symbol
_atom_site_fract_x
_atom_site_fract_y
_atom_site_fract_z
Na1 Na 0.8472 0.6071 0.6276
O1 O 0.6333 0.7061 0.8465
Na2 Na 0.2710 0.7810 0.4475
Na3 Na 0.5457 0.6071 0.1276
Cr1 Cr 0.3298 0.0417 0.7401
O2 O 0.0126 0.1258 0.7942
O3 O 0.6606 0.7061 0.3465
Na4 Na 0.5077 0.3828 0.8505
Na5 Na 0.1094 0.3828 0.3505
Na6 Na 0.9479 0.7810 0.9475
O4 O 0.3158 0.3505 0.1132
O5 O 0.8616 0.1258 0.2942
Cr2 Cr 0.6285 0.0417 0.2401
Na7 Na 0.7402 0.2199 0.5328
Na8 Na 0.0399 0.2199 0.0328
O6 O 0.3337 0.3505 0.6132
```

=====

run P takes first place; second place is 45 meV per atom up.

=====

Run P
The following is a GGA+U calculation of a relaxed structure of Na2Cr4O13, from Materials Project.

Summary:
**Total magnetic moment**: 0.00 μB per formula unit
**SG**: No. 14

```
data_Na2Cr4O13
_cell_length_a 7.2452
_cell_length_b 9.1707
_cell_length_c 17.4573
_cell_angle_alpha 87.73
_cell_angle_beta 90.00
_cell_angle_gamma 90.00
_symmetry_space_group_name_H-M 'P 1'
_symmetry_Int_Tables_number 1
_symmetry_space_group_name_Hall 'P 1'
loop_
_atom_site_label
_atom_site_type_symbol
_atom_site_fract_x
_atom_site_fract_y
_atom_site_fract_z
O1 O 0.1895 0.4223 0.4923
O2 O 0.9877 0.1788 0.0742
Na1 Na 0.3260 0.1781 0.0549
Cr1 Cr 0.1464 0.3236 0.7487
O3 O 0.4550 0.5415 0.2416
O4 O 0.9177 0.2573 0.7628
O5 O 0.6663 0.0649 0.8269
O6 O 0.9167 0.8925 0.0880
O7 O 0.4167 0.6075 0.9120
O8 O 0.1924 0.4194 0.8299
O9 O 0.6271 0.3669 0.5853
Cr2 Cr 0.6729 0.5552 0.0841
O10 O 0.2140 0.6915 0.7383
O11 O 0.3337 0.9351 0.1731
Cr3 Cr 0.6934 0.5866 0.7562
O12 O 0.9877 0.8642 0.4242
Cr4 Cr 0.3271 0.4448 0.9159
O13 O 0.5123 0.6788 0.0742
Cr5 Cr 0.6763 0.5395 0.5813
O14 O 0.6924 0.0806 0.1701
O15 O 0.6940 0.0847 0.6682
O16 O 0.0449 0.0415 0.2416
O17 O 0.8105 0.5777 0.5077
Na2 Na 0.6451 0.8177 0.4331
Na3 Na 0.8549 0.3177 0.4331
O18 O 0.1868 0.4298 0.9895
O19 O 0.0833 0.1075 0.9120
O20 O 0.0123 0.1358 0.5758
O21 O 0.4877 0.3212 0.9258
Na4 Na 0.6740 0.8219 0.9451
O22 O 0.1940 0.4153 0.3318
O23 O 0.2860 0.1915 0.7383
O24 O 0.8491 0.5755 0.3284
O25 O 0.5823 0.7573 0.7628
O26 O 0.8337 0.5649 0.8269
O27 O 0.6509 0.0755 0.3284
O28 O 0.3105 0.9223 0.4923
O29 O 0.9550 0.9585 0.7584
Cr6 Cr 0.3237 0.4605 0.4187
O30 O 0.3060 0.9153 0.3318
O31 O 0.4877 0.6358 0.5758
O32 O 0.5123 0.3642 0.4242
O33 O 0.3132 0.9298 0.9895
Na5 Na 0.3549 0.1823 0.5669
O34 O 0.5833 0.3925 0.0880
O35 O 0.6895 0.0777 0.5077
O36 O 0.3491 0.9245 0.6716
Cr7 Cr 0.8271 0.0552 0.0841
O37 O 0.7140 0.8085 0.2617
O38 O 0.6868 0.0702 0.0105
Cr8 Cr 0.3066 0.4134 0.2438
O39 O 0.3729 0.6331 0.4147
Na6 Na 0.8260 0.3219 0.9451
Na7 Na 0.1740 0.6781 0.0549
O40 O 0.0123 0.8212 0.9258
O41 O 0.4177 0.2427 0.2372
Cr9 Cr 0.8536 0.6764 0.2513
O42 O 0.8729 0.8669 0.5853
Cr10 Cr 0.1729 0.9448 0.9159
O43 O 0.3076 0.9194 0.8299
Cr11 Cr 0.8066 0.0866 0.7562
Cr12 Cr 0.1934 0.9134 0.2438
O44 O 0.8060 0.5847 0.6682
O45 O 0.8132 0.5702 0.0105
O46 O 0.0823 0.7427 0.2372
O47 O 0.1271 0.1331 0.4147
O48 O 0.1663 0.4351 0.1731
Cr13 Cr 0.3536 0.8236 0.7487
O49 O 0.5450 0.4585 0.7584
O50 O 0.7860 0.3085 0.2617
Cr14 Cr 0.6464 0.1764 0.2513
Cr15 Cr 0.8237 0.0395 0.5813
Cr16 Cr 0.1763 0.9605 0.4187
O51 O 0.1509 0.4245 0.6716
Na8 Na 0.1451 0.6823 0.5669
O52 O 0.8076 0.5806 0.1701
```

=====

Run Q
The following is a GGA+U calculation of a relaxed structure of Na2Cr4O13, from Materials Project.

Summary:
**Total magnetic moment**: 0.00 μB per formula unit
**SG**: No. 14

```
data_Na2Cr4O13
_cell_length_a 20.0105
_cell_length_b 7.6974
_cell_length_c 9.6849
_cell_angle_alpha 56.82
_cell_angle_beta 90.00
_cell_angle_gamma 90.00
_symmetry_space_group_name_H-M 'P 1'
_symmetry_Int_Tables_number 1
_symmetry_space_group_name_Hall 'P 1'
loop_
_atom_site_label
_atom_site_type_symbol
_atom_site_fract_x
_atom_site_fract_y
_atom_site_fract_z
O1 O 0.1565 0.3052 0.9746
O2 O 0.8688 0.1511 0.7722
O3 O 0.3818 0.0435 0.8880
O4 O 0.5437 0.4253 0.6679
Cr1 Cr 0.2727 0.3883 0.5452
O5 O 0.7837 0.7938 0.3920
O6 O 0.6544 0.3977 0.8510
Na1 Na 0.3976 0.3949 0.9067
Na2 Na 0.6024 0.6051 0.0933
O7 O 0.5255 0.8722 0.3578
Cr2 Cr 0.9467 0.2183 0.1378
Na3 Na 0.7602 0.1152 0.9868
Cr3 Cr 0.8928 0.5591 0.1998
O8 O 0.9275 0.7173 0.2360
O9 O 0.4694 0.7448 0.9430
Na4 Na 0.2398 0.8848 0.0132
O10 O 0.1182 0.0435 0.3880
O11 O 0.9115 0.3036 0.9625
Na5 Na 0.1024 0.3949 0.4067
O12 O 0.0437 0.5747 0.8321
Cr4 Cr 0.0533 0.7817 0.8622
Cr5 Cr 0.0792 0.9316 0.3087
O13 O 0.4115 0.6964 0.5375
O14 O 0.3435 0.3052 0.4746
O15 O 0.9745 0.8722 0.8578
O16 O 0.7541 0.3883 0.6080
O17 O 0.8818 0.9565 0.6120
O18 O 0.0885 0.6964 0.0375
O19 O 0.2541 0.6117 0.8920
O20 O 0.8456 0.3977 0.3510
O21 O 0.0994 0.9552 0.7174
O22 O 0.8435 0.6948 0.0254
O23 O 0.9563 0.4253 0.1679
O24 O 0.2837 0.2062 0.1080
O25 O 0.4006 0.9552 0.2174
Cr6 Cr 0.4467 0.7817 0.3622
O26 O 0.1544 0.6023 0.6490
O27 O 0.7163 0.7938 0.8920
O28 O 0.9694 0.2552 0.5570
Cr7 Cr 0.1072 0.4409 0.8002
O29 O 0.7975 0.5884 0.8058
O30 O 0.7459 0.3883 0.1080
O31 O 0.5725 0.7173 0.7360
O32 O 0.7025 0.5884 0.3058
O33 O 0.3688 0.8489 0.7278
O34 O 0.4745 0.1278 0.6422
O35 O 0.5306 0.2552 0.0570
O36 O 0.6565 0.6948 0.5254
O37 O 0.6182 0.9565 0.1120
O38 O 0.3456 0.6023 0.1490
Cr8 Cr 0.7727 0.6117 0.9548
O39 O 0.6312 0.1511 0.2722
Cr9 Cr 0.5792 0.0684 0.1913
Cr10 Cr 0.2273 0.3883 0.0452
Cr11 Cr 0.3928 0.4409 0.3002
O40 O 0.4275 0.2827 0.2640
Cr12 Cr 0.5533 0.2183 0.6378
O41 O 0.2163 0.2062 0.6080
Na6 Na 0.8976 0.6051 0.5933
O42 O 0.5994 0.0448 0.7826
Cr13 Cr 0.4208 0.9316 0.8087
O43 O 0.0306 0.7448 0.4430
O44 O 0.0255 0.1278 0.1422
O45 O 0.2975 0.4116 0.6942
Na7 Na 0.7398 0.1152 0.4868
Cr14 Cr 0.9208 0.0684 0.6913
O46 O 0.2459 0.6117 0.3920
O47 O 0.9006 0.0448 0.2826
Na8 Na 0.2602 0.8848 0.5132
Cr15 Cr 0.7273 0.6117 0.4548
O48 O 0.1312 0.8489 0.2278
O49 O 0.2025 0.4116 0.1942
O50 O 0.5885 0.3036 0.4625
Cr16 Cr 0.6072 0.5591 0.6998
O51 O 0.0725 0.2827 0.7640
O52 O 0.4563 0.5747 0.3321
```

=====

run P takes first place; second place is 33 meV per atom up.

=====

Run P
The following is a GGA+U calculation of a relaxed structure of NaCrS2O8, from Materials Project.

Summary:
**Total magnetic moment**: 3.00 μB per formula unit
**SG**: No. 12

```
data_NaCrS2O8
_cell_length_a 4.8147
_cell_length_b 4.8147
_cell_length_c 7.4716
_cell_angle_alpha 87.50
_cell_angle_beta 87.50
_cell_angle_gamma 65.23
_symmetry_space_group_name_H-M 'P 1'
_symmetry_Int_Tables_number 1
_symmetry_space_group_name_Hall 'P 1'
loop_
_atom_site_label
_atom_site_type_symbol
_atom_site_fract_x
_atom_site_fract_y
_atom_site_fract_z
O1 O 0.7580 0.7580 0.0570
Cr1 Cr 0.0000 0.0000 0.0000
O2 O 0.7040 0.7040 0.3868
O3 O 0.7618 0.2919 0.1950
O4 O 0.2919 0.7618 0.1950
O5 O 0.2960 0.2960 0.6132
O6 O 0.2420 0.2420 0.9430
S1 S 0.6352 0.6352 0.2115
O7 O 0.7081 0.2382 0.8050
S2 S 0.3648 0.3648 0.7885
Na1 Na 0.0000 0.0000 0.5000
O8 O 0.2382 0.7081 0.8050
```

=====

Run Q
The following is a GGA+U calculation of a relaxed structure of NaCrS2O8, from Materials Project.

Summary:
**Total magnetic moment**: 3.00 μB per formula unit
**SG**: No. 62

```
data_NaCrS2O8
_cell_length_a 5.1641
_cell_length_b 14.2729
_cell_length_c 8.2377
_cell_angle_alpha 90.00
_cell_angle_beta 90.00
_cell_angle_gamma 90.00
_symmetry_space_group_name_H-M 'P 1'
_symmetry_Int_Tables_number 1
_symmetry_space_group_name_Hall 'P 1'
loop_
_atom_site_label
_atom_site_type_symbol
_atom_site_fract_x
_atom_site_fract_y
_atom_site_fract_z
O1 O 0.5158 0.3044 0.6613
O2 O 0.4859 0.6180 0.6709
O3 O 0.7500 0.4737 0.1360
O4 O 0.5158 0.8044 0.8387
O5 O 0.2500 0.5634 0.2180
O6 O 0.4842 0.1956 0.1613
S1 S 0.7500 0.8367 0.7466
O7 O 0.7500 0.9737 0.3640
O8 O 0.4842 0.6956 0.3387
Na1 Na 0.7500 0.5837 0.9214
O9 O 0.5141 0.3820 0.3291
S2 S 0.7500 0.9421 0.1959
Cr1 Cr 0.2500 0.3483 0.5011
O10 O 0.7500 0.0182 0.0743
O11 O 0.7500 0.9366 0.7180
Cr2 Cr 0.7500 0.1517 0.0011
O12 O 0.0158 0.6956 0.3387
O13 O 0.2500 0.9818 0.9257
O14 O 0.9859 0.3820 0.3291
Na2 Na 0.2500 0.9163 0.4214
O15 O 0.2500 0.0634 0.2820
O16 O 0.7500 0.4366 0.7820
O17 O 0.4859 0.1180 0.8291
Cr3 Cr 0.7500 0.6517 0.4989
O18 O 0.7500 0.7859 0.5865
O19 O 0.9842 0.8044 0.8387
O20 O 0.0141 0.6180 0.6709
O21 O 0.2500 0.5263 0.8640
S3 S 0.2500 0.1633 0.2534
Na3 Na 0.2500 0.4163 0.0786
O22 O 0.9859 0.8820 0.1709
O23 O 0.2500 0.0263 0.6360
S4 S 0.2500 0.5579 0.6959
O24 O 0.9842 0.3044 0.6613
O25 O 0.0141 0.1180 0.8291
Na4 Na 0.7500 0.0837 0.5786
O26 O 0.7500 0.2859 0.9135
S5 S 0.7500 0.4421 0.3041
O27 O 0.2500 0.7141 0.0865
O28 O 0.0158 0.1956 0.1613
O29 O 0.2500 0.2141 0.4135
O30 O 0.2500 0.4818 0.5743
Cr4 Cr 0.2500 0.8483 0.9989
S6 S 0.2500 0.6633 0.2466
S7 S 0.7500 0.3367 0.7534
S8 S 0.2500 0.0579 0.8041
O31 O 0.7500 0.5182 0.4257
O32 O 0.5141 0.8820 0.1709
```

=====

run P takes first place; second place is 28 meV per atom up.

=====

Run P
The following is a GGA+U calculation of a relaxed structure of Cr19O48, from Materials Project.

Summary:
**Total magnetic moment**: 18.00 μB per formula unit
**SG**: No. 1

```
data_Cr19O48
_cell_length_a 5.0086
_cell_length_b 10.2792
_cell_length_c 17.3437
_cell_angle_alpha 89.71
_cell_angle_beta 89.27
_cell_angle_gamma 89.93
_symmetry_space_group_name_H-M 'P 1'
_symmetry_Int_Tables_number 1
_symmetry_space_group_name_Hall 'P 1'
loop_
_atom_site_label
_atom_site_type_symbol
_atom_site_fract_x
_atom_site_fract_y
_atom_site_fract_z
Cr1 Cr 0.2963 0.2504 0.4463
Cr2 Cr 0.2337 0.4717 0.6537
O1 O 0.8497 0.1219 0.7903
O2 O 0.3603 0.1144 0.2033
Cr3 Cr 0.7687 0.4359 0.5271
O3 O 0.9496 0.3971 0.6246
O4 O 0.8119 0.3942 0.2915
O5 O 0.1059 0.3769 0.4674
O6 O 0.5416 0.6255 0.2979
O7 O 0.8129 0.1070 0.2934
O8 O 0.4497 0.6318 0.9638
O9 O 0.0403 0.8864 0.3616
O10 O 0.5624 0.6010 0.1176
O11 O 0.9085 0.5135 0.9197
Cr4 Cr 0.7065 0.0233 0.8482
Cr5 Cr 0.2875 0.5260 0.1510
Cr6 Cr 0.7683 0.5649 0.0202
O12 O 0.3756 0.2510 0.3528
O13 O 0.4621 0.3924 0.8711
O14 O 0.9027 0.8833 0.5401
Cr7 Cr 0.2367 0.7490 0.9422
O15 O 0.5842 0.2498 0.5053
Cr8 Cr 0.7591 0.9698 0.3440
Cr9 Cr 0.7166 0.7502 0.5607
O16 O 0.1869 0.6198 0.7017
Cr10 Cr 0.2912 0.9752 0.1567
O17 O 0.9581 0.7311 0.9962
Cr11 Cr 0.2236 0.0668 0.9764
O18 O 0.1065 0.8771 0.2147
O19 O 0.1297 0.6278 0.2092
O20 O 0.0786 0.4959 0.0787
Cr12 Cr 0.7618 0.2456 0.0548
O21 O 0.6199 0.4892 0.4269
Cr13 Cr 0.2277 0.7556 0.2946
O22 O 0.0481 0.2258 0.0009
O23 O 0.5439 0.8755 0.2989
O24 O 0.1113 0.0026 0.0737
O25 O 0.4392 0.0059 0.5798
O26 O 0.8966 0.3889 0.7870
O27 O 0.3819 0.8884 0.9672
Cr14 Cr 0.7704 0.0636 0.5274
Cr15 Cr 0.2339 0.0274 0.6557
Cr16 Cr 0.7150 0.4753 0.8431
O28 O 0.1059 0.1238 0.4680
Cr17 Cr 0.5867 0.2504 0.2482
O29 O 0.9194 0.9964 0.9221
Cr18 Cr 0.4129 0.7434 0.7468
O30 O 0.0370 0.6160 0.3567
O31 O 0.9001 0.6159 0.5412
O32 O 0.6197 0.3843 0.0300
O33 O 0.1842 0.7488 0.8463
O34 O 0.4236 0.0996 0.8868
O35 O 0.5496 0.1292 0.0333
O36 O 0.3868 0.3779 0.7110
Cr19 Cr 0.7571 0.5308 0.3425
O37 O 0.6274 0.8862 0.8014
O38 O 0.2013 0.8798 0.7058
O39 O 0.3745 0.1255 0.7125
O40 O 0.3652 0.3879 0.1978
O41 O 0.6175 0.0117 0.4274
O42 O 0.4630 0.7507 0.5064
O43 O 0.9475 0.0991 0.6253
O44 O 0.6079 0.6250 0.7926
O45 O 0.6266 0.7521 0.6574
O46 O 0.5578 0.9009 0.1324
O47 O 0.4362 0.4938 0.5772
O48 O 0.8122 0.2444 0.1500
```

=====

Run Q
The following is a GGA+U calculation of a relaxed structure of Cr19O48, from Materials Project.

Summary:
**Total magnetic moment**: 18.00 μB per formula unit
**SG**: No. 1

```
data_Cr19O48
_cell_length_a 4.9992
_cell_length_b 10.3560
_cell_length_c 17.3047
_cell_angle_alpha 90.24
_cell_angle_beta 90.44
_cell_angle_gamma 90.14
_symmetry_space_group_name_H-M 'P 1'
_symmetry_Int_Tables_number 1
_symmetry_space_group_name_Hall 'P 1'
loop_
_atom_site_label
_atom_site_type_symbol
_atom_site_fract_x
_atom_site_fract_y
_atom_site_fract_z
O1 O 0.9251 0.7493 0.0076
O2 O 0.5952 0.6133 0.2912
O3 O 0.3620 0.3799 0.7078
O4 O 0.6732 0.7558 0.6507
Cr1 Cr 0.0994 0.2532 0.2532
O5 O 0.4426 0.1040 0.8772
O6 O 0.0686 0.5015 0.0762
O7 O 0.1241 0.6133 0.6974
O8 O 0.1086 0.8807 0.2091
Cr2 Cr 0.2057 0.7491 0.9455
O9 O 0.1154 0.1146 0.4675
O10 O 0.1294 0.7516 0.8537
O11 O 0.9182 0.3829 0.7951
O12 O 0.4623 0.4127 0.8669
O13 O 0.8687 0.3846 0.2943
O14 O 0.8777 0.2423 0.1476
O15 O 0.0776 0.0000 0.0718
O16 O 0.6361 0.8816 0.2897
O17 O 0.0504 0.3701 0.4680
O18 O 0.5733 0.0054 0.4219
O19 O 0.9471 0.8696 0.5326
O20 O 0.4011 0.8864 0.9679
Cr3 Cr 0.7444 0.9263 0.0282
O21 O 0.0630 0.8949 0.3857
Cr4 Cr 0.2085 0.0210 0.6582
O22 O 0.0522 0.2318 0.9976
O23 O 0.1149 0.6249 0.2087
O24 O 0.6045 0.4817 0.4252
O25 O 0.4046 0.1065 0.7121
O26 O 0.3911 0.9828 0.5758
O27 O 0.5560 0.8932 0.1247
Cr5 Cr 0.7201 0.4402 0.5219
Cr6 Cr 0.2461 0.0682 0.9730
O28 O 0.9149 0.9900 0.9291
Cr7 Cr 0.2791 0.9719 0.1558
O29 O 0.5825 0.1087 0.0349
O30 O 0.6241 0.3768 0.0344
O31 O 0.4291 0.5046 0.5776
O32 O 0.6878 0.6270 0.7918
O33 O 0.8863 0.6150 0.5326
O34 O 0.1191 0.8782 0.7070
Cr8 Cr 0.7918 0.9753 0.3475
O35 O 0.8997 0.1190 0.7953
O36 O 0.3225 0.2553 0.3498
O37 O 0.5573 0.5971 0.1218
Cr9 Cr 0.7346 0.7535 0.5535
O38 O 0.9102 0.5262 0.9267
Cr10 Cr 0.7387 0.4809 0.8439
Cr11 Cr 0.2779 0.9405 0.4755
O39 O 0.8794 0.1106 0.3013
O40 O 0.3158 0.3830 0.1985
Cr12 Cr 0.2639 0.2543 0.4455
O41 O 0.4170 0.6355 0.9684
Cr13 Cr 0.7888 0.2440 0.0561
O42 O 0.9334 0.3954 0.6142
O43 O 0.3275 0.1140 0.1991
Cr14 Cr 0.7919 0.5242 0.3424
Cr15 Cr 0.2696 0.5274 0.1544
O44 O 0.6732 0.8839 0.8003
O45 O 0.0471 0.6068 0.3698
Cr16 Cr 0.7184 0.0262 0.8445
Cr17 Cr 0.8942 0.7482 0.7412
Cr18 Cr 0.7505 0.5640 0.0261
Cr19 Cr 0.2067 0.4738 0.6515
O46 O 0.4575 0.7696 0.4992
O47 O 0.5426 0.2706 0.5004
O48 O 0.9546 0.1041 0.6324
```

=====

run P takes first place; second place is 13 meV per atom up.